No. 1
A plane-wave DFT calculation with PBE was carried out for a relaxed NaNbSn3P6O24 crystal.

abc: 8.745 8.745 22.784
angles: 90.00 90.00 120.00
Atoms (fractional coordinates):
P: 0.290 0.001 0.251
P: 0.957 0.622 0.083
P: 0.667 0.621 0.583
P: 0.623 0.667 0.916
P: 0.710 0.710 0.251
P: 0.333 0.956 0.916
P: 0.709 0.000 0.750
P: 0.623 0.956 0.416
P: 0.334 0.377 0.416
P: 0.999 0.290 0.251
P: 0.290 0.291 0.750
P: 0.378 0.336 0.083
P: 0.044 0.666 0.416
P: 0.954 0.333 0.583
P: 0.044 0.377 0.916
P: 0.379 0.046 0.583
P: 0.664 0.043 0.083
P: 0.000 0.710 0.750
O: 0.803 0.971 0.411
O: 0.024 0.197 0.196
O: 0.642 0.500 0.922
O: 0.304 0.834 0.256
O: 0.829 0.806 0.594
O: 0.500 0.359 0.423
O: 0.880 0.373 0.638
O: 0.141 0.645 0.075
O: 0.859 0.500 0.423
O: 0.452 0.292 0.028
O: 0.173 0.976 0.196
O: 0.530 0.696 0.256
O: 0.211 0.038 0.306
O: 0.507 0.878 0.361
O: 0.300 0.845 0.972
O: 0.355 0.496 0.075
O: 0.454 0.160 0.529
O: 0.531 0.840 0.471
O: 0.139 0.495 0.573
O: 0.840 0.548 0.028
O: 0.122 0.489 0.861
O: 0.367 0.878 0.861
O: 0.212 0.175 0.805
O: 0.024 0.191 0.911
O: 0.504 0.859 0.075
O: 0.122 0.629 0.361
O: 0.474 0.307 0.743
O: 0.166 0.696 0.756
O: 0.029 0.832 0.411
O: 0.173 0.197 0.696
O: 0.962 0.174 0.306
O: 0.692 0.526 0.243
O: 0.826 0.789 0.306
O: 0.024 0.827 0.696
O: 0.976 0.808 0.092
O: 0.809 0.833 0.911
O: 0.708 0.160 0.028
O: 0.371 0.493 0.361
O: 0.641 0.141 0.423
O: 0.633 0.122 0.138
O: 0.160 0.691 0.471
O: 0.489 0.367 0.138
O: 0.309 0.469 0.471
O: 0.878 0.511 0.138
O: 0.168 0.197 0.411
O: 0.166 0.470 0.256
O: 0.693 0.167 0.743
O: 0.493 0.120 0.638
O: 0.858 0.358 0.922
O: 0.167 0.976 0.911
O: 0.706 0.546 0.529
O: 0.840 0.294 0.529
O: 0.977 0.171 0.594
O: 0.356 0.861 0.573
O: 0.474 0.167 0.243
O: 0.962 0.788 0.805
O: 0.825 0.038 0.805
O: 0.833 0.308 0.243
O: 0.530 0.834 0.756
O: 0.194 0.023 0.594
O: 0.832 0.024 0.092
O: 0.627 0.507 0.638
O: 0.505 0.644 0.573
O: 0.192 0.168 0.092
O: 0.155 0.455 0.972
O: 0.545 0.700 0.972
O: 0.833 0.526 0.743
O: 0.500 0.142 0.922
O: 0.803 0.976 0.696
O: 0.803 0.827 0.196
O: 0.304 0.470 0.756
O: 0.511 0.633 0.861
Sn: 0.000 0.000 0.355
Sn: 0.333 0.667 0.812
Sn: 0.333 0.667 0.311
Sn: 0.667 0.333 0.186
Sn: 0.333 0.667 0.020
Sn: 0.667 0.333 0.480
Sn: 0.667 0.333 0.981
Sn: 0.667 0.333 0.686
Sn: 0.000 0.000 0.853
Na: 0.667 0.333 0.333
Na: 0.000 0.000 0.998
Na: 0.667 0.333 0.834
Nb: 0.333 0.667 0.521
Nb: 0.000 0.000 0.645
Nb: 0.000 0.000 0.147

Total energy ... -748.465 eV per cell


No. 2
A plane-wave DFT calculation with PBE was carried out for a relaxed NaTi3NbP6O24 crystal.

abc: 8.631 8.631 22.529
angles: 90.00 90.00 120.00
Atoms (fractional coordinates):
O: 0.832 0.308 0.243
O: 0.303 0.837 0.973
O: 0.636 0.499 0.639
O: 0.134 0.498 0.574
O: 0.362 0.500 0.073
O: 0.165 0.472 0.260
O: 0.697 0.530 0.527
O: 0.638 0.135 0.139
O: 0.833 0.303 0.527
O: 0.364 0.867 0.861
O: 0.163 0.466 0.973
O: 0.470 0.167 0.527
O: 0.833 0.531 0.027
O: 0.500 0.359 0.424
O: 0.160 0.695 0.472
O: 0.527 0.835 0.760
O: 0.201 0.167 0.806
O: 0.165 0.693 0.760
O: 0.469 0.302 0.027
O: 0.500 0.862 0.073
O: 0.640 0.500 0.924
O: 0.693 0.168 0.743
O: 0.201 0.033 0.306
O: 0.027 0.193 0.909
O: 0.497 0.362 0.139
O: 0.173 0.971 0.195
O: 0.832 0.028 0.090
O: 0.798 0.827 0.195
O: 0.173 0.201 0.695
O: 0.199 0.030 0.592
O: 0.972 0.804 0.090
O: 0.363 0.866 0.574
O: 0.367 0.500 0.361
O: 0.307 0.473 0.760
O: 0.832 0.525 0.743
O: 0.970 0.169 0.592
O: 0.967 0.799 0.806
O: 0.476 0.168 0.243
O: 0.831 0.801 0.592
O: 0.168 0.195 0.406
O: 0.641 0.141 0.424
O: 0.860 0.360 0.924
O: 0.863 0.364 0.639
O: 0.305 0.465 0.472
O: 0.475 0.307 0.743
O: 0.502 0.637 0.574
O: 0.692 0.524 0.243
O: 0.500 0.868 0.361
O: 0.028 0.827 0.695
O: 0.026 0.832 0.406
O: 0.865 0.503 0.139
O: 0.534 0.697 0.973
O: 0.138 0.638 0.073
O: 0.833 0.033 0.806
O: 0.805 0.974 0.406
O: 0.807 0.834 0.909
O: 0.132 0.633 0.361
O: 0.698 0.167 0.027
O: 0.307 0.835 0.260
O: 0.967 0.167 0.306
O: 0.029 0.202 0.195
O: 0.535 0.840 0.472
O: 0.528 0.693 0.260
O: 0.500 0.140 0.924
O: 0.859 0.500 0.424
O: 0.504 0.636 0.861
O: 0.133 0.496 0.861
O: 0.501 0.137 0.639
O: 0.833 0.799 0.306
O: 0.799 0.972 0.695
O: 0.196 0.168 0.090
O: 0.166 0.973 0.909
Na: 0.000 0.000 0.997
Na: 0.667 0.333 0.333
Na: 0.667 0.333 0.834
Ti: 0.667 0.333 0.477
Ti: 0.667 0.333 0.977
Ti: 0.667 0.333 0.187
Ti: 0.333 0.667 0.811
Ti: 0.667 0.333 0.690
Ti: 0.333 0.667 0.309
Ti: 0.333 0.667 0.022
Ti: 0.000 0.000 0.855
Ti: 0.000 0.000 0.358
P: 0.711 0.000 0.752
P: 0.386 0.338 0.082
P: 0.662 0.048 0.082
P: 0.388 0.055 0.583
P: 0.666 0.612 0.583
P: 0.049 0.382 0.917
P: 0.618 0.667 0.917
P: 0.000 0.712 0.752
P: 0.289 0.002 0.252
P: 0.945 0.334 0.583
P: 0.620 0.954 0.415
P: 0.334 0.380 0.415
P: 0.046 0.666 0.415
P: 0.288 0.289 0.752
P: 0.712 0.711 0.252
P: 0.333 0.951 0.917
P: 0.952 0.614 0.082
P: 0.998 0.288 0.252
Nb: 0.000 0.000 0.146
Nb: 0.000 0.000 0.644
Nb: 0.333 0.667 0.522

Total energy ... -823.213 eV per cell